No. 1
Entry from Materials Project: a relaxed structure of SrSmFe4O12 (PBE with a Hubbard U).

Unit cell a=5.4194 b=5.4194 c=7.6675 alpha=90.00 beta=90.00 gamma=90.00
Last column: nearest neighbours and their distance in Å.
Sites, in units of the cell vectors:
1 Sr 0.0000 0.0000 0.0000  12 O 2.71-2.80
2 Sm 0.5000 0.5000 0.5000  12 O 2.62-2.71
3 Fe 0.0000 0.5000 0.2492  6 O 1.91-1.92
4 Fe 0.0000 0.5000 0.7508  6 O 1.91-1.92
5 Fe 0.5000 0.0000 0.2492  6 O 1.91-1.92
6 Fe 0.5000 0.0000 0.7508  6 O 1.91-1.92
7 O 0.0000 0.5000 0.0000  2 Fe 1.91
8 O 0.0000 0.5000 0.5000  2 Fe 1.92
9 O 0.2569 0.2569 0.2599  2 Fe 1.92
10 O 0.2569 0.2569 0.7401  2 Fe 1.92
11 O 0.2569 0.7431 0.2599  2 Fe 1.92
12 O 0.2569 0.7431 0.7401  2 Fe 1.92
13 O 0.5000 0.0000 0.0000  2 Fe 1.91
14 O 0.5000 0.0000 0.5000  2 Fe 1.92
15 O 0.7431 0.2569 0.2599  2 Fe 1.92
16 O 0.7431 0.2569 0.7401  2 Fe 1.92
17 O 0.7431 0.7431 0.2599  2 Fe 1.92
18 O 0.7431 0.7431 0.7401  2 Fe 1.92

Output
- E_form (eV/atom) = -1.66
- V (Å³/cell) = 225.2

=====

No. 2
Entry from Materials Project: a relaxed structure of Co3P4H48N2O30 (PBE with a Hubbard U).

Unit cell a=17.7834 b=17.7834 c=6.1967 alpha=90.88 beta=90.88 gamma=22.84
Last column: nearest neighbours and their distance in Å.
Sites, in units of the cell vectors:
1 Co 0.0000 0.0000 0.0000  6 O 2.11-2.12
2 Co 0.3335 0.3335 0.2493  6 O 2.08-2.20
3 Co 0.6665 0.6665 0.7507  6 O 2.08-2.20
4 P 0.2044 0.2044 0.3702  1 H 1.41, 3 O 1.55
5 P 0.4511 0.4511 0.6521  1 H 1.41, 3 O 1.55
6 P 0.5489 0.5489 0.3479  1 H 1.41, 3 O 1.55
7 P 0.7956 0.7956 0.6298  1 H 1.41, 3 O 1.55
8 H 0.0035 0.2400 0.9178  1 N 1.04
9 H 0.0350 0.6802 0.4429  1 O 1.01
10 H 0.0386 0.5464 0.0053  1 O 1.00
11 H 0.0697 0.8378 0.6548  1 O 1.00
12 H 0.0720 0.4616 0.2027  1 O 1.00
13 H 0.0883 0.0883 0.0603  1 N 1.04
14 H 0.1345 0.1345 0.1532  1 N 1.06
15 H 0.1622 0.9303 0.3452  1 O 1.00
16 H 0.1810 0.4136 0.6302  1 O 1.01
17 H 0.1945 0.5974 0.4173  1 O 1.00
18 H 0.2057 0.7119 0.2836  1 O 1.00
19 H 0.2203 0.2203 0.5799  1 P 1.41
20 H 0.2400 0.0035 0.9178  1 N 1.04
21 H 0.2741 0.6365 0.0398  1 O 1.00
22 H 0.2881 0.7943 0.7164  1 O 1.00
23 H 0.3198 0.9650 0.5571  1 O 1.01
24 H 0.3449 0.3449 0.8081  1 O 0.99
25 H 0.3635 0.7259 0.9602  1 O 1.00
26 H 0.3874 0.3874 0.9208  1 O 1.00
27 H 0.4026 0.8055 0.5827  1 O 1.00
28 H 0.4136 0.1810 0.6302  1 O 1.01
29 H 0.4536 0.9614 0.9947  1 O 1.00
30 H 0.4616 0.0720 0.2027  1 O 1.00
31 H 0.4912 0.4912 0.6784  1 P 1.41
32 H 0.5088 0.5088 0.3216  1 P 1.41
33 H 0.5384 0.9280 0.7973  1 O 1.00
34 H 0.5464 0.0386 0.0053  1 O 1.00
35 H 0.5864 0.8190 0.3698  1 O 1.01
36 H 0.5974 0.1945 0.4173  1 O 1.00
37 H 0.6126 0.6126 0.0792  1 O 1.00
38 H 0.6365 0.2741 0.0398  1 O 1.00
39 H 0.6551 0.6551 0.1919  1 O 0.99
40 H 0.6802 0.0350 0.4429  1 O 1.01
41 H 0.7119 0.2057 0.2836  1 O 1.00
42 H 0.7259 0.3635 0.9602  1 O 1.00
43 H 0.7600 0.9965 0.0822  1 N 1.04
44 H 0.7797 0.7797 0.4201  1 P 1.41
45 H 0.7943 0.2881 0.7164  1 O 1.00
46 H 0.8055 0.4026 0.5827  1 O 1.00
47 H 0.8190 0.5864 0.3698  1 O 1.01
48 H 0.8378 0.0697 0.6548  1 O 1.00
49 H 0.8655 0.8655 0.8468  1 N 1.06
50 H 0.9117 0.9117 0.9397  1 N 1.04
51 H 0.9280 0.5384 0.7973  1 O 1.00
52 H 0.9303 0.1622 0.3452  1 O 1.00
53 H 0.9614 0.4536 0.9947  1 O 1.00
54 H 0.9650 0.3198 0.5571  1 O 1.01
55 H 0.9965 0.7600 0.0822  1 N 1.04
56 N 0.1167 0.1167 0.0136  4 H 1.04-1.06
57 N 0.8833 0.8833 0.9864  4 H 1.04-1.06
58 O 0.0359 0.4012 0.2580  1 P 1.55, 3 H 1.67-1.73
59 O 0.0408 0.0408 0.2563  2 H 1.00
60 O 0.0808 0.5072 0.1595  2 H 1.00
61 O 0.1420 0.5991 0.3460  2 H 1.00-1.01
62 O 0.1602 0.1602 0.3962  1 P 1.55, 3 H 1.72-1.74
63 O 0.1784 0.7519 0.1323  2 H 1.00
64 O 0.2481 0.8216 0.8677  2 H 1.00
65 O 0.2580 0.6226 0.5262  1 P 1.55, 3 H 1.68-1.72
66 O 0.3116 0.3116 0.5805  2 H 1.01
67 O 0.3591 0.3591 0.9479  2 H 0.99-1.00
68 O 0.3774 0.7420 0.4738  1 P 1.55, 3 H 1.68-1.72
69 O 0.4012 0.0359 0.2580  1 P 1.55, 3 H 1.67-1.73
70 O 0.4009 0.8580 0.6540  2 H 1.00-1.01
71 O 0.4351 0.4351 0.8835  1 P 1.55, 1 H 1.68
72 O 0.4928 0.9192 0.8405  2 H 1.00
73 O 0.5072 0.0808 0.1595  2 H 1.00
74 O 0.5649 0.5649 0.1165  1 P 1.55, 1 H 1.68
75 O 0.5991 0.1420 0.3460  2 H 1.00-1.01
76 O 0.5988 0.9641 0.7420  1 P 1.55, 3 H 1.67-1.73
77 O 0.6226 0.2580 0.5262  1 P 1.55, 3 H 1.68-1.72
78 O 0.6409 0.6409 0.0521  2 H 0.99-1.00
79 O 0.6884 0.6884 0.4195  2 H 1.01
80 O 0.7420 0.3774 0.4738  1 P 1.55, 3 H 1.68-1.72
81 O 0.7519 0.1784 0.1323  2 H 1.00
82 O 0.8216 0.2481 0.8677  2 H 1.00
83 O 0.8398 0.8398 0.6038  1 P 1.55, 3 H 1.72-1.74
84 O 0.8580 0.4009 0.6540  2 H 1.00-1.01
85 O 0.9192 0.4928 0.8405  2 H 1.00
86 O 0.9592 0.9592 0.7437  2 H 1.00
87 O 0.9641 0.5988 0.7420  1 P 1.55, 3 H 1.67-1.73

Output
- E_form (eV/atom) = -1.32
- V (Å³/cell) = 760.5

=====

No. 3
Entry from Materials Project: a relaxed structure of Li4Nb2V3Co3O16 (PBE with a Hubbard U).

Unit cell a=5.9753 b=5.9903 c=9.7832 alpha=89.67 beta=89.89 gamma=60.25
Last column: nearest neighbours and their distance in Å.
Sites, in units of the cell vectors:
1 Li 0.0000 0.0000 0.0000  4 O 1.87-1.99
2 Li 0.0017 0.9997 0.4966  4 O 1.87-2.01
3 Li 0.3494 0.2961 0.4060  4 O 1.99-2.01
4 Li 0.6732 0.6454 0.9063  4 O 1.99-2.04
5 Nb 0.3364 0.3305 0.0062  4 O 1.91-2.12
6 Nb 0.6614 0.6760 0.5065  4 O 1.90-2.01
7 V 0.1754 0.1697 0.7313  4 O 1.88-1.95
8 V 0.6572 0.1686 0.7232  6 O 1.95-2.16
9 V 0.8267 0.3469 0.2398  4 O 1.80-1.85
10 Co 0.1755 0.6470 0.7209  6 O 2.05-2.14
11 Co 0.3440 0.8220 0.2151  6 O 2.03-2.22
12 Co 0.8317 0.8206 0.2151  6 O 2.03-2.21
13 O 0.0071 0.0047 0.8086  1 Li 1.87, 2 V 1.88-2.00, 1 Co 2.05
14 O 0.0413 0.4592 0.8487  1 V 1.90, 1 Li 1.99, 1 Co 2.09
15 O 0.1618 0.1705 0.1008  1 Nb 1.96, 1 Li 1.99, 1 Co 2.12
16 O 0.1681 0.6596 0.0919  1 Nb 1.91, 1 Li 1.98, 2 Co 2.12-2.13
17 O 0.3339 0.2962 0.6111  2 V 1.88-2.01, 1 Li 2.01
18 O 0.3385 0.8236 0.5972  1 Nb 1.90, 1 Li 2.00
19 O 0.4761 0.0232 0.8506  2 V 1.95-2.10, 1 Li 2.04
20 O 0.4927 0.4581 0.8491  1 V 1.95, 1 Li 1.99, 1 Co 2.08, 1 Nb 2.12
21 O 0.5351 0.9283 0.3525  1 Li 1.99, 1 Nb 1.99, 2 Co 2.06
22 O 0.5444 0.4746 0.3477  1 V 1.81, 1 Li 2.01
23 O 0.6656 0.1674 0.0999  1 Nb 1.94, 1 Li 1.99, 1 Co 2.12
24 O 0.6930 0.6098 0.1132  1 V 1.84, 1 Li 2.03
25 O 0.8340 0.8292 0.5976  1 Nb 1.91, 1 Li 2.01
26 O 0.8371 0.3308 0.5992  1 Li 2.00, 1 Nb 2.01, 2 V 2.14-2.18
27 O 0.9787 0.4760 0.3470  1 V 1.80, 1 Li 2.01
28 O 0.9917 0.0133 0.3052  1 V 1.85, 1 Li 1.87, 2 Co 2.03

Output
- E_form (eV/atom) = -2.33
- V (Å³/cell) = 304.0

=====

No. 4
Entry from Materials Project: a relaxed structure of Sr2V3BiO11 (PBE with a Hubbard U).

Unit cell a=7.0947 b=7.1298 c=10.3786 alpha=99.23 beta=95.93 gamma=92.90
Last column: nearest neighbours and their distance in Å.
Sites, in units of the cell vectors:
1 Sr 0.1499 0.2514 0.4794  5 O 2.45-2.70
2 Sr 0.1596 0.6116 0.8632  5 O 2.49-2.76
3 Sr 0.8404 0.3884 0.1368  5 O 2.49-2.76
4 Sr 0.8501 0.7486 0.5206  5 O 2.45-2.70
5 V 0.1405 0.1112 0.8355  4 O 1.70-1.83
6 V 0.3405 0.7643 0.5381  4 O 1.69-1.83
7 V 0.3672 0.5726 0.2352  4 O 1.70-1.83
8 V 0.6328 0.4274 0.7648  4 O 1.70-1.83
9 V 0.6595 0.2357 0.4619  4 O 1.69-1.83
10 V 0.8595 0.8888 0.1645  4 O 1.70-1.83
11 Bi 0.3493 0.0714 0.1404  5 O 2.23-2.48
12 Bi 0.6507 0.9286 0.8596  5 O 2.23-2.48
13 O 0.0425 0.0596 0.2349  1 V 1.75
14 O 0.0807 0.2533 0.9743  1 V 1.73
15 O 0.1614 0.4608 0.2615  1 V 1.70
16 O 0.1812 0.9134 0.4882  1 V 1.69
17 O 0.2000 0.2622 0.7322  1 V 1.70
18 O 0.2001 0.6026 0.5976  1 V 1.72
19 O 0.3259 0.7437 0.1349  1 V 1.74
20 O 0.3326 0.9741 0.8954  1 V 1.83
21 O 0.4706 0.1212 0.3508  1 V 1.75
22 O 0.4715 0.6598 0.4043  2 V 1.83
23 O 0.4913 0.3944 0.1547  1 V 1.74
24 O 0.5087 0.6056 0.8453  1 V 1.74
25 O 0.5285 0.3402 0.5957  2 V 1.83
26 O 0.5294 0.8788 0.6492  1 V 1.75
27 O 0.6674 0.0259 0.1046  1 V 1.83
28 O 0.6741 0.2563 0.8651  1 V 1.74
29 O 0.7999 0.3974 0.4024  1 V 1.72
30 O 0.8000 0.7378 0.2678  1 V 1.70
31 O 0.8188 0.0866 0.5118  1 V 1.69
32 O 0.8386 0.5392 0.7385  1 V 1.70
33 O 0.9193 0.7467 0.0257  1 V 1.73
34 O 0.9575 0.9404 0.7651  1 V 1.75

Output
- E_form (eV/atom) = -2.65
- V (Å³/cell) = 514.2

=====

Question: E_form of number 2 (Co3P4H48N2O30)?
Answer: -1.32 eV/atom